No. 1
Crystalline K8V2S6O27 at its relaxed geometry, computed with GGA+U.

abc: 13.7706 14.1435 14.2635
angles: 90.00 90.39 90.00
With the nearest neighbours (Å) after each atom.
Fractional coordinates of all 172 atoms:
1 K 0.0309 0.0000 0.4860  5 O 2.76-2.99
2 K 0.0371 0.5234 0.0209  6 O 2.76-3.06
3 K 0.1385 0.9063 0.7474  3 O 2.58-2.85
4 K 0.1485 0.5853 0.7554  4 O 2.59-2.86
5 K 0.1607 0.1053 0.2008  7 O 2.68-2.94
6 K 0.1764 0.8190 0.0499  7 O 2.66-2.88
7 K 0.1779 0.3977 0.3027  4 O 2.69-2.98
8 K 0.1887 0.6991 0.4584  8 O 2.73-3.03
9 K 0.3121 0.1763 0.4493  5 O 2.63-2.88
10 K 0.3240 0.3198 0.0579  7 O 2.72-2.94
11 K 0.3367 0.8951 0.2950  7 O 2.73-3.05
12 K 0.3402 0.6179 0.2084  6 O 2.72-3.05
13 K 0.3447 0.1141 0.7266  5 O 2.71-2.92
14 K 0.3610 0.4038 0.7842  4 O 2.63-2.85
15 K 0.4484 0.4716 0.5101  3 O 2.63-2.90
16 K 0.4555 0.0416 0.9847  7 O 2.72-3.03
17 K 0.5445 0.5416 0.0153  7 O 2.72-3.03
18 K 0.5516 0.9716 0.4899  3 O 2.63-2.90
19 K 0.6390 0.9038 0.2158  4 O 2.63-2.85
20 K 0.6553 0.6141 0.2734  5 O 2.71-2.92
21 K 0.6598 0.1179 0.7916  6 O 2.72-3.05
22 K 0.6633 0.3951 0.7050  7 O 2.73-3.05
23 K 0.6760 0.8198 0.9421  7 O 2.72-2.94
24 K 0.6879 0.6763 0.5507  5 O 2.63-2.88
25 K 0.8113 0.1991 0.5416  8 O 2.73-3.03
26 K 0.8221 0.8977 0.6973  4 O 2.69-2.98
27 K 0.8236 0.3190 0.9501  7 O 2.66-2.88
28 K 0.8393 0.6053 0.7992  7 O 2.68-2.94
29 K 0.8515 0.0853 0.2446  4 O 2.59-2.86
30 K 0.8615 0.4063 0.2526  3 O 2.58-2.85
31 K 0.9629 0.0234 0.9791  6 O 2.76-3.06
32 K 0.9691 0.5000 0.5140  5 O 2.76-2.99
33 V 0.0879 0.2420 0.6241  2 O 1.63-1.81
34 V 0.0945 0.2562 0.8677  1 O 1.62
35 V 0.3952 0.7452 0.8692  2 O 1.62-1.81
36 V 0.4041 0.7466 0.6232  1 O 1.63
37 V 0.5959 0.2466 0.3768  1 O 1.63
38 V 0.6048 0.2452 0.1308  2 O 1.62-1.81
39 V 0.9055 0.7562 0.1323  1 O 1.62
40 V 0.9121 0.7420 0.3759  2 O 1.63-1.81
41 S 0.0137 0.2490 0.4041  4 O 1.47-1.55
42 S 0.0230 0.2652 0.0898  4 O 1.47-1.55
43 S 0.0518 0.8957 0.2516  4 O 1.47-1.54
44 S 0.0588 0.6065 0.2545  4 O 1.47-1.54
45 S 0.2115 0.4254 0.5493  4 O 1.47-1.56
46 S 0.2143 0.0743 0.9507  4 O 1.47-1.56
47 S 0.2748 0.9265 0.5331  4 O 1.47-1.56
48 S 0.2768 0.5702 0.9697  4 O 1.47-1.56
49 S 0.4488 0.1085 0.2633  4 O 1.47-1.54
50 S 0.4698 0.7818 0.0852  4 O 1.47-1.56
51 S 0.4728 0.4100 0.2368  4 O 1.47-1.54
52 S 0.4786 0.7342 0.4117  4 O 1.47-1.57
53 S 0.5214 0.2342 0.5883  4 O 1.47-1.57
54 S 0.5272 0.9100 0.7632  4 O 1.47-1.54
55 S 0.5302 0.2818 0.9148  4 O 1.47-1.56
56 S 0.5512 0.6085 0.7367  4 O 1.47-1.54
57 S 0.7232 0.0702 0.0303  4 O 1.47-1.56
58 S 0.7252 0.4265 0.4669  4 O 1.47-1.56
59 S 0.7857 0.5743 0.0493  4 O 1.47-1.56
60 S 0.7885 0.9254 0.4507  4 O 1.47-1.56
61 S 0.9412 0.1065 0.7455  4 O 1.47-1.54
62 S 0.9482 0.3957 0.7484  4 O 1.47-1.54
63 S 0.9770 0.7652 0.9102  4 O 1.47-1.55
64 S 0.9863 0.7490 0.5959  4 O 1.47-1.55
65 O 0.0039 0.2308 0.5108  1 S 1.55
66 O 0.0063 0.6723 0.8720  1 S 1.48
67 O 0.0079 0.1272 0.6615  1 S 1.54
68 O 0.0103 0.3523 0.3880  1 S 1.48
69 O 0.0112 0.3700 0.8346  1 S 1.54
70 O 0.0183 0.2535 0.9818  1 S 1.55
71 O 0.0185 0.9889 0.2848  1 S 1.47
72 O 0.0351 0.5105 0.2213  1 S 1.47
73 O 0.0405 0.6778 0.1796  1 S 1.49
74 O 0.0411 0.8220 0.3253  1 S 1.49
75 O 0.0483 0.8399 0.8909  1 S 1.47
76 O 0.0722 0.7020 0.6363  1 S 1.47
77 O 0.1067 0.2080 0.3719  1 S 1.48
78 O 0.1224 0.2914 0.1196  1 S 1.48
79 O 0.1221 0.3678 0.5844  1 S 1.56
80 O 0.1297 0.2511 0.7443  2 V 1.81-1.83
81 O 0.1352 0.1281 0.8926  1 S 1.56
82 O 0.1536 0.9002 0.2205  1 S 1.47
83 O 0.1598 0.0139 0.0164  1 S 1.48
84 O 0.1605 0.6118 0.2871  1 S 1.48
85 O 0.1693 0.5047 0.4959  1 S 1.47
86 O 0.1814 0.1859 0.5822  1 V 1.63
87 O 0.1897 0.3092 0.9091  1 V 1.62
88 O 0.2008 0.8996 0.4627  1 S 1.48
89 O 0.2155 0.6368 0.0219  1 S 1.47
90 O 0.2184 0.5002 0.9172  1 S 1.48
91 O 0.2353 0.9893 0.6059  1 S 1.47
92 O 0.2635 0.4574 0.6340  1 S 1.47
93 O 0.2683 0.0192 0.8804  1 S 1.47
94 O 0.2718 0.3647 0.4890  1 S 1.48
95 O 0.2767 0.1419 0.0010  1 S 1.47
96 O 0.3020 0.8327 0.5842  1 S 1.56
97 O 0.3089 0.8127 0.9067  1 V 1.62
98 O 0.3331 0.6230 0.8909  1 S 1.56
99 O 0.3424 0.0950 0.2680  1 S 1.48
100 O 0.3489 0.5248 0.0320  1 S 1.48
101 O 0.3519 0.6513 0.5838  1 V 1.63
102 O 0.3610 0.9665 0.4876  1 S 1.47
103 O 0.3654 0.7417 0.7455  2 V 1.81-1.83
104 O 0.3656 0.4061 0.2406  1 S 1.48
105 O 0.3700 0.7936 0.1205  1 S 1.48
106 O 0.3767 0.7208 0.3809  1 S 1.48
107 O 0.4669 0.7294 0.9891  1 S 1.56
108 O 0.4692 0.1434 0.5798  1 S 1.48
109 O 0.4700 0.3030 0.6474  1 S 1.47
110 O 0.4709 0.1852 0.3373  1 S 1.54
111 O 0.4718 0.2196 0.8534  1 S 1.47
112 O 0.4771 0.1447 0.1697  1 S 1.49
113 O 0.4792 0.7804 0.5115  1 S 1.57
114 O 0.4821 0.3737 0.9312  1 S 1.48
115 O 0.4824 0.8792 0.6731  1 S 1.49
116 O 0.4937 0.0055 0.7884  1 S 1.47
117 O 0.4970 0.8425 0.8424  1 S 1.54
118 O 0.4991 0.5212 0.7116  1 S 1.47
119 O 0.5009 0.0212 0.2884  1 S 1.47
120 O 0.5030 0.3425 0.1576  1 S 1.54
121 O 0.5063 0.5055 0.2116  1 S 1.47
122 O 0.5176 0.3792 0.3269  1 S 1.49
123 O 0.5179 0.8737 0.0688  1 S 1.48
124 O 0.5208 0.2804 0.4885  1 S 1.57
125 O 0.5229 0.6447 0.8303  1 S 1.49
126 O 0.5282 0.7196 0.1466  1 S 1.47
127 O 0.5291 0.6852 0.6627  1 S 1.54
128 O 0.5300 0.8030 0.3526  1 S 1.47
129 O 0.5308 0.6434 0.4202  1 S 1.48
130 O 0.5331 0.2294 0.0109  1 S 1.56
131 O 0.6233 0.2208 0.6191  1 S 1.48
132 O 0.6300 0.2936 0.8795  1 S 1.48
133 O 0.6344 0.9061 0.7594  1 S 1.48
134 O 0.6346 0.2417 0.2545  2 V 1.81-1.83
135 O 0.6390 0.4665 0.5124  1 S 1.47
136 O 0.6481 0.1513 0.4162  1 V 1.63
137 O 0.6511 0.0248 0.9680  1 S 1.48
138 O 0.6576 0.5950 0.7320  1 S 1.48
139 O 0.6669 0.1230 0.1091  1 S 1.56
140 O 0.6911 0.3127 0.0933  1 V 1.62
141 O 0.6980 0.3327 0.4158  1 S 1.56
142 O 0.7233 0.6419 0.9990  1 S 1.47
143 O 0.7282 0.8647 0.5110  1 S 1.48
144 O 0.7317 0.5192 0.1196  1 S 1.47
145 O 0.7365 0.9574 0.3660  1 S 1.47
146 O 0.7647 0.4893 0.3941  1 S 1.47
147 O 0.7816 0.0002 0.0828  1 S 1.48
148 O 0.7845 0.1368 0.9781  1 S 1.47
149 O 0.7992 0.3996 0.5373  1 S 1.48
150 O 0.8103 0.8092 0.0909  1 V 1.62
151 O 0.8186 0.6859 0.4178  1 V 1.63
152 O 0.8307 0.0047 0.5041  1 S 1.47
153 O 0.8395 0.1118 0.7129  1 S 1.48
154 O 0.8402 0.5139 0.9836  1 S 1.48
155 O 0.8464 0.4002 0.7795  1 S 1.47
156 O 0.8648 0.6281 0.1074  1 S 1.56
157 O 0.8703 0.7511 0.2557  2 V 1.81-1.83
158 O 0.8776 0.7914 0.8804  1 S 1.48
159 O 0.8779 0.8678 0.4156  1 S 1.56
160 O 0.8933 0.7080 0.6281  1 S 1.48
161 O 0.9278 0.2020 0.3637  1 S 1.47
162 O 0.9517 0.3399 0.1091  1 S 1.47
163 O 0.9595 0.1778 0.8204  1 S 1.49
164 O 0.9589 0.3220 0.6747  1 S 1.49
165 O 0.9649 0.0105 0.7787  1 S 1.47
166 O 0.9815 0.4889 0.7152  1 S 1.47
167 O 0.9817 0.7535 0.0182  1 S 1.55
168 O 0.9888 0.8700 0.1654  1 S 1.54
169 O 0.9897 0.8523 0.6120  1 S 1.48
170 O 0.9921 0.6272 0.3385  1 S 1.54
171 O 0.9937 0.1723 0.1280  1 S 1.48
172 O 0.9961 0.7308 0.4892  1 S 1.55

Computed properties:
The calculation puts the electronic total energy at -6.02 eV/atom. As for the calculated formation energy: -2.22 eV per atom.

=====

No. 2
Crystalline Ca3MnH3S2O14 at its relaxed geometry, computed with GGA+U.

abc: 9.2263 9.2263 10.7797
angles: 90.00 90.00 120.00
With the nearest neighbours (Å) after each atom.
Fractional coordinates of all 46 atoms:
1 Ca 0.1398 0.2797 0.2500  6 O 2.29-2.41
2 Ca 0.1398 0.8602 0.2500  6 O 2.29-2.41
3 Ca 0.2797 0.1398 0.7500  6 O 2.29-2.41
4 Ca 0.7203 0.8602 0.2500  6 O 2.29-2.41
5 Ca 0.8602 0.1398 0.7500  6 O 2.29-2.41
6 Ca 0.8602 0.7203 0.7500  6 O 2.29-2.41
7 Mn 0.0000 0.0000 0.0000  6 O 1.88
8 Mn 0.0000 0.0000 0.5000  6 O 1.88
9 H 0.0757 0.5378 0.7500  2 O 2.77
10 H 0.4622 0.5378 0.7500  2 O 2.77
11 H 0.4622 0.9243 0.7500  2 O 2.77
12 H 0.5378 0.0757 0.2500  2 O 2.77
13 H 0.5378 0.4622 0.2500  2 O 2.77
14 H 0.9243 0.4622 0.2500  2 O 2.77
15 S 0.3333 0.6667 0.0598  4 O 1.48-1.49
16 S 0.3333 0.6667 0.4402  4 O 1.48-1.49
17 S 0.6667 0.3333 0.5598  4 O 1.48-1.49
18 S 0.6667 0.3333 0.9402  4 O 1.48-1.49
19 O 0.0862 0.1725 0.6183  1 Mn 1.88
20 O 0.0862 0.1725 0.8817  1 Mn 1.88
21 O 0.0862 0.9138 0.6183  1 Mn 1.88
22 O 0.0862 0.9138 0.8817  1 Mn 1.88
23 O 0.1725 0.0862 0.1183  1 Mn 1.88
24 O 0.1725 0.0862 0.3817  1 Mn 1.88
25 O 0.2458 0.4916 0.1064  1 S 1.49
26 O 0.2458 0.4916 0.3936  1 S 1.49
27 O 0.2458 0.7542 0.1064  1 S 1.49
28 O 0.2458 0.7542 0.3936  1 S 1.49
29 O 0.3333 0.6667 0.5775  1 S 1.48
30 O 0.3333 0.6667 0.9225  1 S 1.48
31 O 0.4916 0.2458 0.6064  1 S 1.49
32 O 0.4916 0.2458 0.8936  1 S 1.49
33 O 0.5084 0.7542 0.1064  1 S 1.49
34 O 0.5084 0.7542 0.3936  1 S 1.49
35 O 0.6667 0.3333 0.0775  1 S 1.48
36 O 0.6667 0.3333 0.4225  1 S 1.48
37 O 0.7542 0.2458 0.6064  1 S 1.49
38 O 0.7542 0.2458 0.8936  1 S 1.49
39 O 0.7542 0.5084 0.6064  1 S 1.49
40 O 0.7542 0.5084 0.8936  1 S 1.49
41 O 0.8275 0.9138 0.6183  1 Mn 1.88
42 O 0.8275 0.9138 0.8817  1 Mn 1.88
43 O 0.9138 0.0862 0.1183  1 Mn 1.88
44 O 0.9138 0.0862 0.3817  1 Mn 1.88
45 O 0.9138 0.8275 0.1183  1 Mn 1.88
46 O 0.9138 0.8275 0.3817  1 Mn 1.88

Computed properties:
The calculation puts the electronic total energy at -5.35 eV/atom. As for the calculated formation energy: -1.37 eV per atom.

=====

No. 3
Crystalline V4OF11 at its relaxed geometry, computed with GGA+U.

abc: 5.2344 5.4418 17.4799
angles: 89.14 81.82 61.87
With the nearest neighbours (Å) after each atom.
Fractional coordinates of all 32 atoms:
1 V 0.0000 0.0000 0.0000  4 F 1.96-1.97, 2 O 2.00
2 V 0.0000 0.5000 0.5000  6 F 1.96-1.98
3 V 0.2338 0.3562 0.1220  1 O 1.67
4 V 0.2508 0.8763 0.6254  6 F 1.95-1.99
5 V 0.4970 0.7451 0.2481  6 F 1.97-1.99
6 V 0.5030 0.2549 0.7519  6 F 1.97-1.99
7 V 0.7492 0.1237 0.3746  6 F 1.95-1.99
8 V 0.7662 0.6438 0.8780  1 O 1.67
9 O 0.0931 0.1748 0.0842  1 V 1.67
10 O 0.9069 0.8252 0.9158  1 V 1.67
11 F 0.0222 0.1885 0.5618  2 V 1.96-1.99
12 F 0.0269 0.6925 0.0650  2 V 1.97
13 F 0.0716 0.9619 0.2862  2 V 1.98
14 F 0.0725 0.4667 0.7878  2 V 1.96-1.99
15 F 0.0732 0.6627 0.5895  2 V 1.95-1.98
16 F 0.4187 0.5760 0.1617  2 V 1.97-2.04
17 F 0.4206 0.7828 0.9611  2 V 1.96-1.99
18 F 0.4271 0.0908 0.6628  2 V 1.96-1.98
19 F 0.4267 0.2876 0.4633  2 V 1.98
20 F 0.4731 0.0634 0.1876  2 V 1.97-1.98
21 F 0.4793 0.5636 0.6881  2 V 1.97-1.98
22 F 0.5207 0.4364 0.3119  2 V 1.97-1.98
23 F 0.5269 0.9366 0.8124  2 V 1.97-1.98
24 F 0.5733 0.7124 0.5367  2 V 1.98
25 F 0.5729 0.9092 0.3372  2 V 1.96-1.98
26 F 0.5794 0.2172 0.0389  2 V 1.96-1.99
27 F 0.5813 0.4240 0.8383  2 V 1.97-2.04
28 F 0.9268 0.3373 0.4105  2 V 1.95-1.98
29 F 0.9275 0.5333 0.2122  2 V 1.96-1.99
30 F 0.9284 0.0381 0.7138  2 V 1.98
31 F 0.9731 0.3075 0.9350  2 V 1.97
32 F 0.9778 0.8115 0.4382  2 V 1.96-1.99

Computed properties:
The calculation puts the electronic total energy at -6.24 eV/atom. As for the calculated formation energy: -3.13 eV per atom.

=====

What is the electronic total energy in the second record? -5.35 eV/atom